DFT (PBE+U) results for SrCaCr4O12 after structural relaxation.

a b c (Å): 5.319 5.319 7.512
angles (deg): 90.00 90.00 90.73
Atoms (fractional coordinates):
1 Sr 0.988 0.988 0.500
2 Ca 0.514 0.514 0.000
3 Cr 0.494 0.000 0.752
4 Cr 0.494 0.000 0.248
5 Cr 0.000 0.494 0.248
6 Cr 0.000 0.494 0.752
7 O 0.773 0.229 0.755
8 O 0.229 0.773 0.755
9 O 0.229 0.773 0.245
10 O 0.773 0.229 0.245
11 O 0.723 0.723 0.726
12 O 0.282 0.282 0.784
13 O 0.282 0.282 0.216
14 O 0.723 0.723 0.274
15 O 0.521 0.963 0.000
16 O 0.481 0.028 0.500
17 O 0.963 0.521 0.000
18 O 0.028 0.481 0.500

Output
corrected total energy (MP2020 scheme) = -7.59 eV/atom
formation energy from the elements = -34.95 eV/f.u.
mass density = 4.1 g/cm3